(1)
DFT (PBE-GGA) results for a geometry-optimized LiEr2Ir structure.

formation energy from the elements: -0.621 eV per atom
space-group type: Fm-3m (225)
mass density: 10.88 g cm⁻³

Unit cell a=6.8813 b=6.8813 c=6.8813 alpha=90.00 beta=90.00 gamma=90.00
Last column: nearest neighbours and their distance in Å.
Positions (direct):
Li (0.0000, 0.0000, 0.0000)  8 Er 2.98
Li (0.0000, 0.5000, 0.5000)  8 Er 2.98
Li (0.5000, 0.0000, 0.5000)  8 Er 2.98
Li (0.5000, 0.5000, 0.0000)  8 Er 2.98
Er (0.2500, 0.2500, 0.2500)  4 Li 2.98, 4 Ir 2.98
Er (0.2500, 0.2500, 0.7500)  4 Li 2.98, 4 Ir 2.98
Er (0.2500, 0.7500, 0.2500)  4 Li 2.98, 4 Ir 2.98
Er (0.2500, 0.7500, 0.7500)  4 Li 2.98, 4 Ir 2.98
Er (0.7500, 0.2500, 0.2500)  4 Li 2.98, 4 Ir 2.98
Er (0.7500, 0.2500, 0.7500)  4 Li 2.98, 4 Ir 2.98
Er (0.7500, 0.7500, 0.2500)  4 Li 2.98, 4 Ir 2.98
Er (0.7500, 0.7500, 0.7500)  4 Li 2.98, 4 Ir 2.98
Ir (0.0000, 0.0000, 0.5000)  8 Er 2.98
Ir (0.0000, 0.5000, 0.0000)  8 Er 2.98
Ir (0.5000, 0.0000, 0.0000)  8 Er 2.98
Ir (0.5000, 0.5000, 0.5000)  8 Er 2.98

=====

(2)
DFT (PBE-GGA) results for a geometry-optimized CeTlF5 structure.

formation energy from the elements: -3.521 eV per atom
space-group type: P2_1/c (14)
mass density: 6.18 g cm⁻³

Unit cell a=8.2564 b=13.9387 c=8.4209 alpha=90.00 beta=102.99 gamma=90.00
Last column: nearest neighbours and their distance in Å.
Positions (direct):
Ce (0.0171, 0.2446, 0.0965)  7 F 2.18-2.37
Ce (0.0171, 0.2554, 0.5965)  7 F 2.18-2.37
Ce (0.4447, 0.2463, 0.9614)  7 F 2.16-2.39
Ce (0.4447, 0.2537, 0.4614)  7 F 2.16-2.39
Ce (0.5553, 0.7463, 0.5386)  7 F 2.16-2.39
Ce (0.5553, 0.7537, 0.0386)  7 F 2.16-2.39
Ce (0.9829, 0.7446, 0.4035)  7 F 2.18-2.37
Ce (0.9829, 0.7554, 0.9035)  7 F 2.18-2.37
Tl (0.2303, 0.5229, 0.7200)  7 F 2.77-3.06
Tl (0.2303, 0.9771, 0.2200)  7 F 2.77-3.06
Tl (0.2759, 0.5173, 0.2025)  7 F 2.80-3.10
Tl (0.2759, 0.9827, 0.7025)  7 F 2.80-3.10
Tl (0.7241, 0.0173, 0.2975)  7 F 2.80-3.10
Tl (0.7241, 0.4827, 0.7975)  7 F 2.80-3.10
Tl (0.7697, 0.0229, 0.7800)  7 F 2.77-3.06
Tl (0.7697, 0.4771, 0.2800)  7 F 2.77-3.06
F (0.0209, 0.6011, 0.9347)  1 Ce 2.18
F (0.0209, 0.8989, 0.4347)  1 Ce 2.18
F (0.0665, 0.5959, 0.3886)  1 Ce 2.20
F (0.0665, 0.9041, 0.8886)  1 Ce 2.20
F (0.0787, 0.7102, 0.6761)  2 Ce 2.30-2.32
F (0.0787, 0.7898, 0.1761)  2 Ce 2.30-2.32
F (0.1808, 0.1805, 0.3551)  2 Ce 2.39-2.46, 2 F 2.55-2.59
F (0.1808, 0.3195, 0.8551)  2 Ce 2.39-2.46, 2 F 2.55-2.59
F (0.2266, 0.1512, 0.0187)  2 Ce 2.37
F (0.2266, 0.3488, 0.5187)  2 Ce 2.37
F (0.2692, 0.7392, 0.9717)  2 Ce 2.31
F (0.2692, 0.7608, 0.4717)  2 Ce 2.31
F (0.2796, 0.1865, 0.6909)  2 Ce 2.34-2.52, 2 F 2.55-2.58
F (0.2796, 0.3135, 0.1909)  2 Ce 2.34-2.52, 2 F 2.55-2.58
F (0.4694, 0.6983, 0.2690)  2 Ce 2.32-2.34, 1 F 2.58
F (0.4694, 0.8017, 0.7690)  2 Ce 2.32-2.34, 1 F 2.58
F (0.4708, 0.6025, 0.5779)  1 Ce 2.17
F (0.4708, 0.8975, 0.0779)  1 Ce 2.17
F (0.4867, 0.1028, 0.5142)  1 Ce 2.16
F (0.4867, 0.3972, 0.0142)  1 Ce 2.16
F (0.5133, 0.6028, 0.9858)  1 Ce 2.16
F (0.5133, 0.8972, 0.4858)  1 Ce 2.16
F (0.5292, 0.1025, 0.9221)  1 Ce 2.17
F (0.5292, 0.3975, 0.4221)  1 Ce 2.17
F (0.5306, 0.1983, 0.2310)  2 Ce 2.32-2.34, 1 F 2.58
F (0.5306, 0.3017, 0.7310)  2 Ce 2.32-2.34, 1 F 2.58
F (0.7204, 0.6865, 0.8091)  2 Ce 2.34-2.52, 2 F 2.55-2.58
F (0.7204, 0.8135, 0.3091)  2 Ce 2.34-2.52, 2 F 2.55-2.58
F (0.7308, 0.2392, 0.5283)  2 Ce 2.31
F (0.7308, 0.2608, 0.0283)  2 Ce 2.31
F (0.7734, 0.6512, 0.4813)  2 Ce 2.37
F (0.7734, 0.8488, 0.9813)  2 Ce 2.37
F (0.8192, 0.6805, 0.1449)  2 Ce 2.39-2.46, 2 F 2.55-2.59
F (0.8192, 0.8195, 0.6449)  2 Ce 2.39-2.46, 2 F 2.55-2.59
F (0.9213, 0.2102, 0.8239)  2 Ce 2.30-2.32
F (0.9213, 0.2898, 0.3239)  2 Ce 2.30-2.32
F (0.9335, 0.0959, 0.1114)  1 Ce 2.20
F (0.9335, 0.4041, 0.6114)  1 Ce 2.20
F (0.9791, 0.1011, 0.5653)  1 Ce 2.18
F (0.9791, 0.3989, 0.0653)  1 Ce 2.18

=====

(3)
DFT (PBE-GGA) results for a geometry-optimized La3Ga2Ni2 structure.

formation energy from the elements: -0.517 eV per atom
space-group type: Pbcm (57)
mass density: 7.08 g cm⁻³

Unit cell a=5.7585 b=8.3214 c=13.1783 alpha=90.00 beta=90.00 gamma=90.00
Last column: nearest neighbours and their distance in Å.
Positions (direct):
La (0.1576, 0.1024, 0.0956)  2 Ni 2.82-2.84
La (0.1576, 0.1024, 0.4044)  2 Ni 2.82-2.84
La (0.1576, 0.3976, 0.5956)  2 Ni 2.82-2.84
La (0.1576, 0.3976, 0.9044)  2 Ni 2.82-2.84
La (0.3378, 0.7493, 0.7500)  5 Ga 3.07-3.30, 4 Ni 3.20
La (0.3378, 0.7507, 0.2500)  5 Ga 3.07-3.30, 4 Ni 3.20
La (0.6622, 0.2493, 0.7500)  5 Ga 3.07-3.30, 4 Ni 3.20
La (0.6622, 0.2507, 0.2500)  5 Ga 3.07-3.30, 4 Ni 3.20
La (0.8424, 0.6024, 0.0956)  2 Ni 2.82-2.84
La (0.8424, 0.6024, 0.4044)  2 Ni 2.82-2.84
La (0.8424, 0.8976, 0.5956)  2 Ni 2.82-2.84
La (0.8424, 0.8976, 0.9044)  2 Ni 2.82-2.84
Ga (0.1722, 0.1026, 0.7500)  2 Ni 2.54
Ga (0.1722, 0.3974, 0.2500)  2 Ni 2.54
Ga (0.3539, 0.7500, 0.0000)  4 Ni 2.60-2.64
Ga (0.3539, 0.7500, 0.5000)  4 Ni 2.60-2.64
Ga (0.6461, 0.2500, 0.0000)  4 Ni 2.60-2.64
Ga (0.6461, 0.2500, 0.5000)  4 Ni 2.60-2.64
Ga (0.8278, 0.6026, 0.7500)  2 Ni 2.54
Ga (0.8278, 0.8974, 0.2500)  2 Ni 2.54
Ni (0.3897, 0.0337, 0.5878)  3 Ga 2.54-2.64, 1 Ni 2.70, 2 La 2.82-2.84
Ni (0.3897, 0.0337, 0.9122)  3 Ga 2.54-2.64, 1 Ni 2.70, 2 La 2.82-2.84
Ni (0.3897, 0.4663, 0.0878)  3 Ga 2.54-2.64, 1 Ni 2.70, 2 La 2.82-2.84
Ni (0.3897, 0.4663, 0.4122)  3 Ga 2.54-2.64, 1 Ni 2.70, 2 La 2.82-2.84
Ni (0.6103, 0.5337, 0.5878)  3 Ga 2.54-2.64, 1 Ni 2.70, 2 La 2.82-2.84
Ni (0.6103, 0.5337, 0.9122)  3 Ga 2.54-2.64, 1 Ni 2.70, 2 La 2.82-2.84
Ni (0.6103, 0.9663, 0.0878)  3 Ga 2.54-2.64, 1 Ni 2.70, 2 La 2.82-2.84
Ni (0.6103, 0.9663, 0.4122)  3 Ga 2.54-2.64, 1 Ni 2.70, 2 La 2.82-2.84

=====

(4)
DFT (PBE-GGA) results for a geometry-optimized Sm2NiSn4 structure.

polymorph energy (0 for the lowest one): 0.000 eV/atom
formation energy from the elements: -0.616 eV per atom
space-group type: Pnma (62)
mass density: 7.97 g cm⁻³

Unit cell a=17.0944 b=4.5128 c=9.0128 alpha=90.00 beta=90.00 gamma=90.00
Last column: nearest neighbours and their distance in Å.
Positions (direct):
Sm (0.1470, 0.2500, 0.1096)  9 Sn 3.28-3.47, 3 Ni 3.52-3.59
Sm (0.1481, 0.2500, 0.6341)  9 Sn 3.25-3.51, 2 Ni 3.36
Sm (0.3519, 0.7500, 0.1341)  9 Sn 3.25-3.51, 2 Ni 3.36
Sm (0.3530, 0.7500, 0.6096)  9 Sn 3.28-3.47, 3 Ni 3.52-3.59
Sm (0.6470, 0.2500, 0.3904)  9 Sn 3.28-3.47, 3 Ni 3.52-3.59
Sm (0.6481, 0.2500, 0.8659)  9 Sn 3.25-3.51, 2 Ni 3.36
Sm (0.8519, 0.7500, 0.3659)  9 Sn 3.25-3.51, 2 Ni 3.36
Sm (0.8530, 0.7500, 0.8904)  9 Sn 3.28-3.47, 3 Ni 3.52-3.59
Ni (0.0620, 0.7500, 0.8562)  5 Sn 2.53-2.63
Ni (0.4380, 0.2500, 0.3562)  5 Sn 2.53-2.63
Ni (0.5620, 0.7500, 0.6438)  5 Sn 2.53-2.63
Ni (0.9380, 0.2500, 0.1438)  5 Sn 2.53-2.63
Sn (0.0083, 0.2500, 0.3905)  1 Ni 2.53
Sn (0.0085, 0.7500, 0.1298)  3 Ni 2.56-2.63
Sn (0.1756, 0.7500, 0.3728)  2 Sn 2.99, 4 Sm 3.30-3.31
Sn (0.2096, 0.7500, 0.8708)  1 Ni 2.53
Sn (0.2904, 0.2500, 0.3708)  1 Ni 2.53
Sn (0.3244, 0.2500, 0.8728)  2 Sn 2.99, 4 Sm 3.30-3.31
Sn (0.4915, 0.2500, 0.6298)  3 Ni 2.56-2.63
Sn (0.4917, 0.7500, 0.8905)  1 Ni 2.53
Sn (0.5083, 0.2500, 0.1095)  1 Ni 2.53
Sn (0.5085, 0.7500, 0.3702)  3 Ni 2.56-2.63
Sn (0.6756, 0.7500, 0.1272)  2 Sn 2.99, 4 Sm 3.30-3.31
Sn (0.7096, 0.7500, 0.6292)  1 Ni 2.53
Sn (0.7904, 0.2500, 0.1292)  1 Ni 2.53
Sn (0.8244, 0.2500, 0.6272)  2 Sn 2.99, 4 Sm 3.30-3.31
Sn (0.9915, 0.2500, 0.8702)  3 Ni 2.56-2.63
Sn (0.9917, 0.7500, 0.6095)  1 Ni 2.53